# 1
# Cr3Fe (PBE, optimized geometry)
# - energy of formation (meV per atom) = 270
# - mass density (g/cm³) = 7.7
# - VASP energy (eV per cell) = -72.7
data_Cr3Fe
_chemical_formula_sum 'Cr6 Fe2'
_symmetry_space_group_name_H-M 'I 4/m m m'
_symmetry_Int_Tables_number 139
_symmetry_space_group_name_Hall '-I 4 2'
_cell_length_a 3.506
_cell_length_b 3.506
_cell_length_c 7.413
_cell_angle_alpha 90.00
_cell_angle_beta 90.00
_cell_angle_gamma 90.00
loop_
_atom_site_label
_atom_site_type_symbol
_atom_site_fract_x
_atom_site_fract_y
_atom_site_fract_z
Cr1 Cr 0.000 0.000 0.000
Cr2 Cr 0.000 0.500 0.250
Fe1 Fe 0.000 0.000 0.500

# 2
# CrFe3 (PBE, optimized geometry)
# - energy of formation (meV per atom) = 50
# - mass density (g/cm³) = 8.1
# - VASP energy (eV per cell) = -34.9
data_CrFe3
_chemical_formula_sum 'Cr1 Fe3'
_symmetry_space_group_name_H-M 'P m -3 m'
_symmetry_Int_Tables_number 221
_symmetry_space_group_name_Hall '-P 4 2 3'
_cell_length_a 3.564
_cell_length_b 3.564
_cell_length_c 3.564
_cell_angle_alpha 90.00
_cell_angle_beta 90.00
_cell_angle_gamma 90.00
loop_
_atom_site_label
_atom_site_type_symbol
_atom_site_fract_x
_atom_site_fract_y
_atom_site_fract_z
Cr1 Cr 0.000 0.000 0.000
Fe1 Fe 0.000 0.500 0.500